(1)
LiP4WO12, optimized geometry, DFT GGA+U; spin magnetization = 3.0 μB/f.u.; total energy = -0.5256 Ry/atom; space group = P1, No. 1; relative energy among the computed polymorphs = 11.6 meV/atom
1.0
7.461 0.000 0.000
-2.614 6.999 0.000
-1.471 -4.146 9.013
Li P W O
2 8 2 24
Direct
0.000 0.000 0.000
0.049 0.554 0.497
0.280 0.075 0.774
0.295 0.504 0.224
0.330 0.265 0.555
0.341 0.777 0.057
0.705 0.773 0.443
0.718 0.285 0.941
0.752 0.044 0.275
0.767 0.477 0.722
0.022 0.774 0.250
0.522 0.775 0.750
0.115 0.028 0.840
0.155 0.809 0.076
0.182 0.275 0.157
0.217 0.646 0.323
0.219 0.090 0.405
0.248 0.206 0.681
0.317 0.470 0.573
0.325 0.900 0.676
0.344 0.586 0.096
0.363 0.732 0.906
0.489 0.250 0.905
0.518 0.564 0.320
0.528 0.986 0.181
0.559 0.300 0.589
0.682 0.819 0.595
0.703 0.964 0.405
0.718 0.648 0.822
0.731 0.080 0.924
0.800 0.344 0.815
0.825 0.897 0.175
0.827 0.459 0.091
0.868 0.273 0.342
0.891 0.740 0.424
0.933 0.530 0.658

---

(2)
LiP2WO8, optimized geometry, DFT GGA+U; spin magnetization = 1.0 μB/f.u.; total energy = -0.5231 Ry/atom; space group = P2_12_12_1, No. 19; relative energy among the computed polymorphs = 8.3 meV/atom
1.0
5.332 0.000 0.000
0.000 11.060 0.000
0.000 0.000 11.451
Li P W O
4 8 4 32
Direct
0.244 0.249 0.390
0.256 0.751 0.890
0.744 0.251 0.610
0.756 0.749 0.110
0.246 0.905 0.540
0.250 0.138 0.660
0.250 0.862 0.160
0.254 0.095 0.040
0.746 0.595 0.460
0.750 0.362 0.340
0.750 0.638 0.840
0.754 0.405 0.960
0.249 0.403 0.153
0.251 0.597 0.653
0.749 0.097 0.847
0.751 0.903 0.347
0.003 0.669 0.780
0.004 0.939 0.476
0.020 0.829 0.236
0.023 0.065 0.968
0.228 0.805 0.042
0.242 0.548 0.214
0.244 0.777 0.588
0.245 0.008 0.153
0.255 0.992 0.653
0.256 0.223 0.088
0.258 0.452 0.714
0.272 0.195 0.542
0.477 0.935 0.468
0.480 0.171 0.736
0.496 0.061 0.976
0.497 0.331 0.280
0.503 0.831 0.220
0.504 0.561 0.524
0.520 0.671 0.764
0.523 0.435 0.032
0.728 0.695 0.958
0.742 0.952 0.786
0.744 0.723 0.412
0.745 0.492 0.847
0.755 0.508 0.347
0.756 0.277 0.912
0.758 0.048 0.286
0.772 0.305 0.458
0.977 0.565 0.532
0.980 0.329 0.264
0.996 0.439 0.024
0.997 0.169 0.720

---

(3)
LiPWO4, optimized geometry, DFT GGA+U; spin magnetization = 4.0 μB/f.u.; total energy = -0.4839 Ry/atom; space group = Pnma, No. 62
1.0
11.217 0.000 0.000
0.000 6.124 0.000
0.000 0.000 4.690
Li P W O
4 4 4 16
Direct
0.000 0.000 0.000
0.000 0.500 0.000
0.500 0.000 0.500
0.500 0.500 0.500
0.083 0.250 0.423
0.417 0.750 0.923
0.583 0.250 0.077
0.917 0.750 0.577
0.229 0.750 0.492
0.271 0.250 0.992
0.729 0.750 0.008
0.771 0.250 0.508
0.045 0.750 0.701
0.088 0.250 0.751
0.148 0.047 0.281
0.148 0.453 0.281
0.352 0.547 0.781
0.352 0.953 0.781
0.412 0.750 0.251
0.455 0.250 0.201
0.545 0.750 0.799
0.588 0.250 0.749
0.648 0.047 0.219
0.648 0.453 0.219
0.852 0.547 0.719
0.852 0.953 0.719
0.912 0.750 0.249
0.955 0.250 0.299

---

(4)
LiP4WO12, optimized geometry, DFT GGA+U; spin magnetization = 3.0 μB/f.u.; total energy = -0.5227 Ry/atom; space group = P2_1/c, No. 14; relative energy among the computed polymorphs = 51.7 meV/atom
1.0
7.672 0.000 0.000
0.000 9.210 0.000
-5.595 0.000 14.349
Li P W O
4 16 4 48
Direct
0.090 0.083 0.073
0.090 0.417 0.573
0.910 0.583 0.427
0.910 0.917 0.927
0.073 0.053 0.808
0.073 0.447 0.308
0.251 0.741 0.049
0.251 0.759 0.549
0.345 0.557 0.227
0.345 0.943 0.727
0.352 0.221 0.426
0.352 0.279 0.926
0.648 0.721 0.074
0.648 0.779 0.574
0.655 0.057 0.273
0.655 0.443 0.773
0.749 0.241 0.451
0.749 0.259 0.951
0.927 0.553 0.692
0.927 0.947 0.192
0.348 0.632 0.857
0.348 0.868 0.357
0.652 0.132 0.643
0.652 0.368 0.143
0.045 0.590 0.345
0.045 0.910 0.845
0.094 0.647 0.739
0.094 0.853 0.239
0.131 0.628 0.544
0.131 0.872 0.044
0.184 0.045 0.737
0.184 0.455 0.237
0.213 0.145 0.897
0.213 0.355 0.397
0.217 0.656 0.961
0.217 0.844 0.461
0.229 0.631 0.127
0.229 0.869 0.627
0.273 0.094 0.363
0.273 0.406 0.863
0.397 0.195 0.529
0.397 0.305 0.029
0.412 0.664 0.305
0.412 0.836 0.805
0.469 0.711 0.593
0.469 0.789 0.093
0.494 0.042 0.721
0.494 0.458 0.221
0.506 0.542 0.779
0.506 0.958 0.279
0.531 0.211 0.907
0.531 0.289 0.407
0.588 0.164 0.195
0.588 0.336 0.695
0.603 0.695 0.971
0.603 0.805 0.471
0.727 0.594 0.137
0.727 0.906 0.637
0.771 0.131 0.373
0.771 0.369 0.873
0.783 0.156 0.539
0.783 0.344 0.039
0.787 0.645 0.603
0.787 0.855 0.103
0.816 0.545 0.763
0.816 0.955 0.263
0.869 0.128 0.956
0.869 0.372 0.456
0.906 0.147 0.761
0.906 0.353 0.261
0.955 0.090 0.155
0.955 0.410 0.655

---

(5)
LiP4WO13, optimized geometry, DFT GGA+U; spin magnetization = 1.0 μB/f.u.; total energy = -0.5238 Ry/atom; space group = P2_12_12_1, No. 19; relative energy among the computed polymorphs = 0.0 meV/atom
1.0
7.209 0.000 0.000
0.000 8.186 0.000
0.000 0.000 17.266
Li P W O
4 16 4 52
Direct
0.219 0.237 0.495
0.281 0.763 0.995
0.719 0.263 0.505
0.781 0.737 0.005
0.073 0.823 0.427
0.091 0.404 0.924
0.097 0.843 0.166
0.098 0.393 0.660
0.402 0.607 0.160
0.403 0.157 0.666
0.409 0.596 0.424
0.427 0.177 0.927
0.573 0.677 0.573
0.591 0.096 0.076
0.597 0.657 0.834
0.598 0.107 0.340
0.902 0.893 0.840
0.903 0.343 0.334
0.909 0.904 0.576
0.927 0.323 0.073
0.233 0.777 0.713
0.267 0.223 0.213
0.733 0.723 0.287
0.767 0.277 0.787
0.000 0.282 0.986
0.000 0.782 0.514
0.013 0.863 0.651
0.082 0.301 0.291
0.087 0.829 0.808
0.091 0.845 0.081
0.095 0.289 0.125
0.098 0.578 0.946
0.116 0.398 0.575
0.127 0.561 0.702
0.160 0.009 0.205
0.166 0.984 0.422
0.203 0.666 0.412
0.247 0.718 0.202
0.253 0.282 0.702
0.297 0.334 0.912
0.334 0.016 0.922
0.340 0.991 0.705
0.373 0.439 0.202
0.384 0.602 0.075
0.402 0.422 0.446
0.405 0.711 0.625
0.409 0.155 0.581
0.413 0.171 0.308
0.418 0.699 0.791
0.487 0.137 0.151
0.500 0.218 0.014
0.500 0.718 0.486
0.513 0.637 0.349
0.582 0.199 0.709
0.587 0.671 0.192
0.591 0.655 0.919
0.595 0.211 0.875
0.598 0.922 0.054
0.616 0.102 0.425
0.627 0.939 0.298
0.660 0.491 0.795
0.666 0.516 0.578
0.703 0.834 0.588
0.747 0.782 0.798
0.753 0.218 0.298
0.797 0.166 0.088
0.834 0.484 0.078
0.840 0.509 0.295
0.873 0.061 0.798
0.884 0.898 0.925
0.902 0.078 0.554
0.905 0.789 0.375
0.909 0.345 0.419
0.913 0.329 0.692
0.918 0.801 0.209
0.987 0.363 0.849

---

(6)
LiP2WO8, optimized geometry, DFT GGA+U; spin magnetization = 1.0 μB/f.u.; total energy = -0.5235 Ry/atom; space group = C2/m, No. 12; relative energy among the computed polymorphs = 3.2 meV/atom
1.0
4.061 -2.684 0.000
4.061 2.684 0.000
-0.596 0.000 7.014
Li P W O
1 2 1 8
Direct
0.000 0.000 0.000
0.339 0.339 0.271
0.661 0.661 0.729
0.000 0.000 0.500
0.218 0.691 0.298
0.235 0.235 0.452
0.237 0.237 0.087
0.309 0.782 0.702
0.691 0.218 0.298
0.763 0.763 0.913
0.765 0.765 0.548
0.782 0.309 0.702

---

(7)
Li9P8W3O29, optimized geometry, DFT GGA+U; spin magnetization = 9.0 μB/f.u.; total energy = -0.5044 Ry/atom; space group = P-3c1, No. 165
1.0
10.056 0.000 0.000
-5.028 8.709 0.000
0.000 0.000 14.036
Li P W O
18 16 6 58
Direct
0.000 0.000 0.000
0.000 0.000 0.500
0.100 0.333 0.437
0.100 0.768 0.937
0.232 0.333 0.937
0.232 0.900 0.437
0.333 0.100 0.063
0.333 0.232 0.563
0.333 0.667 0.119
0.333 0.667 0.619
0.667 0.333 0.381
0.667 0.333 0.881
0.667 0.768 0.437
0.667 0.900 0.937
0.768 0.100 0.563
0.768 0.667 0.063
0.900 0.232 0.063
0.900 0.667 0.563
0.087 0.313 0.654
0.087 0.774 0.154
0.226 0.313 0.154
0.226 0.913 0.654
0.313 0.087 0.846
0.313 0.226 0.346
0.333 0.667 0.382
0.333 0.667 0.882
0.667 0.333 0.118
0.667 0.333 0.618
0.687 0.774 0.654
0.687 0.913 0.154
0.774 0.087 0.346
0.774 0.687 0.846
0.913 0.226 0.846
0.913 0.687 0.346
0.000 0.433 0.250
0.000 0.567 0.750
0.433 0.000 0.250
0.433 0.433 0.750
0.567 0.000 0.750
0.567 0.567 0.250
0.000 0.218 0.750
0.000 0.782 0.250
0.006 0.228 0.932
0.006 0.778 0.432
0.077 0.320 0.152
0.077 0.757 0.652
0.112 0.477 0.662
0.112 0.636 0.162
0.195 0.513 0.344
0.195 0.682 0.844
0.218 0.000 0.750
0.218 0.218 0.250
0.222 0.228 0.432
0.222 0.994 0.932
0.228 0.006 0.568
0.228 0.222 0.068
0.243 0.320 0.652
0.243 0.923 0.152
0.318 0.513 0.844
0.318 0.805 0.344
0.320 0.077 0.348
0.320 0.243 0.848
0.333 0.667 0.489
0.333 0.667 0.989
0.364 0.477 0.162
0.364 0.888 0.662
0.477 0.112 0.838
0.477 0.364 0.338
0.487 0.682 0.344
0.487 0.805 0.844
0.513 0.195 0.156
0.513 0.318 0.656
0.523 0.636 0.662
0.523 0.888 0.162
0.636 0.112 0.338
0.636 0.523 0.838
0.667 0.333 0.011
0.667 0.333 0.511
0.680 0.757 0.152
0.680 0.923 0.652
0.682 0.195 0.656
0.682 0.487 0.156
0.757 0.077 0.848
0.757 0.680 0.348
0.772 0.778 0.932
0.772 0.994 0.432
0.778 0.006 0.068
0.778 0.772 0.568
0.782 0.000 0.250
0.782 0.782 0.750
0.805 0.318 0.156
0.805 0.487 0.656
0.888 0.364 0.838
0.888 0.523 0.338
0.923 0.243 0.348
0.923 0.680 0.848
0.994 0.222 0.568
0.994 0.772 0.068

---

Per-record energy of formation from the pure elements, meV per atom: -2529, -2506, -1886, -2488, -2523, -2511, -2585